32
Lattice="8.532 0.000 0.000 0.000 8.532 0.000 0.000 0.000 4.258" Properties=species:S:1:pos:R:3 comment="GGA+U Mg14VCO16, optimized geometry" ef_ev_per_atom=-2.667 e_tot_ev_per_atom=-6.02 magnetic_moment_mub_per_fu=2.83 pbc="T T T"
O 0.000 2.176 0.000
O 0.000 0.000 2.129
Mg 4.266 0.000 0.000
Mg 2.162 6.370 0.000
O 4.266 6.410 0.000
V 0.000 0.000 0.000
Mg 2.162 2.162 0.000
C 4.266 4.266 0.000
Mg 0.000 4.266 0.000
Mg 4.266 2.168 2.129
O 2.139 6.393 2.129
O 0.000 4.266 2.129
Mg 2.168 4.266 2.129
Mg 6.370 6.370 0.000
O 6.393 2.139 2.129
O 0.000 6.355 0.000
Mg 6.364 4.266 2.129
O 6.393 6.393 2.129
O 6.355 0.000 0.000
O 2.121 4.266 0.000
Mg 0.000 6.378 2.129
Mg 6.378 0.000 2.129
O 2.176 0.000 0.000
O 2.139 2.139 2.129
Mg 0.000 2.154 2.129
O 4.266 4.266 2.129
Mg 2.154 0.000 2.129
Mg 6.370 2.162 0.000
O 4.266 0.000 2.129
O 4.266 2.121 0.000
Mg 4.266 6.364 2.129
O 6.410 4.266 0.000